[1]
# BeSiAg2O4, optimized geometry, DFT GGA-PBE
data_BeSiAg2O4
_cell_length_a 10.150
_cell_length_b 5.044
_cell_length_c 14.404
_cell_angle_alpha 90.00
_cell_angle_beta 90.00
_cell_angle_gamma 90.00
_space_group_name_H-M_alt 'P c a 21'
_space_group_IT_number 29
loop_
_space_group_symop_operation_xyz
'x,y,z'
'-x,-y,z+1/2'
'-x+1/2,y,z+1/2'
'x+1/2,-y,z'
loop_
_atom_site_label
_atom_site_type_symbol
_atom_site_fract_x
_atom_site_fract_y
_atom_site_fract_z
Be1 Be 0.016 0.025 0.000
Be2 Be 0.236 0.502 0.747
Si1 Si 0.016 0.526 0.121
Si2 Si 0.233 0.003 0.375
Ag1 Ag 0.004 0.019 0.248
Ag2 Ag 0.013 0.510 0.873
Ag3 Ag 0.236 0.020 0.623
Ag4 Ag 0.236 0.524 0.498
O1 O 0.005 0.788 0.593
O2 O 0.006 0.288 0.528
O3 O 0.094 0.394 0.702
O4 O 0.094 0.891 0.421
O5 O 0.166 0.085 0.961
O6 O 0.167 0.581 0.159
O7 O 0.200 0.264 0.310
O8 O 0.201 0.764 0.811
# M_tot	0.0	μB per formula unit
# energy relative to the elements	-2.06	eV/atom
# ρ	5.71	Mg/m³

=====

[2]
# Ag3Bi, optimized geometry, DFT GGA-PBE
data_Ag3Bi
_cell_length_a 3.2562
_cell_length_b 3.2562
_cell_length_c 9.6335
_cell_angle_alpha 90.00
_cell_angle_beta 90.00
_cell_angle_gamma 120.00
_space_group_name_H-M_alt 'P -6 m 2'
_space_group_IT_number 187
_space_group_name_Hall 'P -6 2'
loop_
_atom_site_label
_atom_site_type_symbol
_atom_site_fract_x
_atom_site_fract_y
_atom_site_fract_z
Ag1 Ag 0.0000 0.0000 0.0000
Ag2 Ag 0.6667 0.3333 0.2277
Bi1 Bi 0.0000 0.0000 0.5000
# M_tot	0.0	μB per formula unit
# energy relative to the elements	0.15	eV/atom
# ρ	10.00	Mg/m³

=====

[3]
# Cs2AgBiBr6, optimized geometry, DFT GGA-PBE
data_Cs2AgBiBr6
_cell_length_a 11.488
_cell_length_b 11.488
_cell_length_c 11.488
_cell_angle_alpha 90.00
_cell_angle_beta 90.00
_cell_angle_gamma 90.00
_space_group_name_H-M_alt 'F m -3 m'
_space_group_IT_number 225
_space_group_name_Hall '-F 4 2 3'
loop_
_atom_site_label
_atom_site_type_symbol
_atom_site_fract_x
_atom_site_fract_y
_atom_site_fract_z
Cs1 Cs 0.250 0.250 0.250
Ag1 Ag 0.000 0.000 0.000
Bi1 Bi 0.000 0.000 0.500
Br1 Br 0.000 0.000 0.249
# M_tot	0.0	μB per formula unit
# E above lowest polymorph	0	meV/atom
# energy relative to the elements	-1.46	eV/atom
# ρ	4.65	Mg/m³

=====

[4]
# K2AgBiBr6, optimized geometry, DFT GGA-PBE
data_K2AgBiBr6
_cell_length_a 11.373
_cell_length_b 11.373
_cell_length_c 11.373
_cell_angle_alpha 90.00
_cell_angle_beta 90.00
_cell_angle_gamma 90.00
_space_group_name_H-M_alt 'F m -3 m'
_space_group_IT_number 225
_space_group_name_Hall '-F 4 2 3'
loop_
_atom_site_label
_atom_site_type_symbol
_atom_site_fract_x
_atom_site_fract_y
_atom_site_fract_z
K1 K 0.250 0.250 0.250
Ag1 Ag 0.000 0.000 0.000
Bi1 Bi 0.000 0.000 0.500
Br1 Br 0.000 0.000 0.248
# M_tot	0.0	μB per formula unit
# energy relative to the elements	-1.37	eV/atom
# ρ	3.95	Mg/m³

=====

[5]
# Rb2AgBiBr6, optimized geometry, DFT GGA-PBE
data_Rb2AgBiBr6
_cell_length_a 11.416
_cell_length_b 11.416
_cell_length_c 11.416
_cell_angle_alpha 90.00
_cell_angle_beta 90.00
_cell_angle_gamma 90.00
_space_group_name_H-M_alt 'F m -3 m'
_space_group_IT_number 225
_space_group_name_Hall '-F 4 2 3'
loop_
_atom_site_label
_atom_site_type_symbol
_atom_site_fract_x
_atom_site_fract_y
_atom_site_fract_z
Rb1 Rb 0.250 0.250 0.250
Ag1 Ag 0.000 0.000 0.000
Bi1 Bi 0.000 0.000 0.500
Br1 Br 0.000 0.000 0.248
# M_tot	0.0	μB per formula unit
# energy relative to the elements	-1.41	eV/atom
# ρ	4.32	Mg/m³

=====

[6]
# CaAgBi, optimized geometry, DFT GGA-PBE
data_CaAgBi
_cell_length_a 4.9173
_cell_length_b 4.9173
_cell_length_c 8.0580
_cell_angle_alpha 90.00
_cell_angle_beta 90.00
_cell_angle_gamma 120.00
_space_group_name_H-M_alt 'P 63/m m c'
_space_group_IT_number 194
_space_group_name_Hall '-P 6c 2c'
loop_
_atom_site_label
_atom_site_type_symbol
_atom_site_fract_x
_atom_site_fract_y
_atom_site_fract_z
Ca1 Ca 0.0000 0.0000 0.0000
Ag1 Ag 0.3333 0.6667 0.2500
Bi1 Bi 0.3333 0.6667 0.7500
# M_tot	0.0	μB per formula unit
# energy relative to the elements	-0.51	eV/atom
# ρ	7.03	Mg/m³

=====

[7]
# CaAgBi, optimized geometry, DFT GGA-PBE
data_CaAgBi
_cell_length_a 4.9065
_cell_length_b 4.9065
_cell_length_c 7.8429
_cell_angle_alpha 90.00
_cell_angle_beta 90.00
_cell_angle_gamma 120.00
_space_group_name_H-M_alt 'P 63 m c'
_space_group_IT_number 186
_space_group_name_Hall 'P 6c -2c'
loop_
_atom_site_label
_atom_site_type_symbol
_atom_site_fract_x
_atom_site_fract_y
_atom_site_fract_z
Ca1 Ca 0.0000 0.0000 0.0000
Ag1 Ag 0.3333 0.6667 0.1848
Bi1 Bi 0.3333 0.6667 0.7841
# energy relative to the elements	-0.56	eV/atom
# ρ	7.25	Mg/m³

=====

[8]
# CaAgBiO5, optimized geometry, DFT GGA-PBE
data_CaAgBiO5
_cell_length_a 5.885
_cell_length_b 11.072
_cell_length_c 8.962
_cell_angle_alpha 90.00
_cell_angle_beta 107.30
_cell_angle_gamma 90.00
_space_group_name_H-M_alt 'P 1 21/c 1'
_space_group_IT_number 14
loop_
_space_group_symop_operation_xyz
'x,y,z'
'-x,-y,-z'
'-x,y+1/2,-z+1/2'
'x,-y+1/2,z+1/2'
loop_
_atom_site_label
_atom_site_type_symbol
_atom_site_fract_x
_atom_site_fract_y
_atom_site_fract_z
Ca1 Ca 0.021 0.106 0.159
Ag1 Ag 0.440 0.629 0.114
Bi1 Bi 0.460 0.088 0.839
O1 O 0.196 0.523 0.183
O2 O 0.262 0.714 0.547
O3 O 0.271 0.245 0.309
O4 O 0.276 0.036 0.006
O5 O 0.353 0.520 0.820
# M_tot	0.0	μB per formula unit
# E above lowest polymorph	0	meV/atom
# energy relative to the elements	-1.51	eV/atom
# ρ	5.21	Mg/m³

=====

[9]
# CaAgBiO5, optimized geometry, DFT GGA-PBE
data_CaAgBiO5
_cell_length_a 5.553
_cell_length_b 16.611
_cell_length_c 10.758
_cell_angle_alpha 90.00
_cell_angle_beta 90.00
_cell_angle_gamma 90.00
_space_group_name_H-M_alt 'P b c a'
_space_group_IT_number 61
loop_
_space_group_symop_operation_xyz
'x,y,z'
'-x,-y,-z'
'-x+1/2,-y,z+1/2'
'x+1/2,y,-z+1/2'
'x+1/2,-y+1/2,-z'
'-x+1/2,y+1/2,z'
'-x,y+1/2,-z+1/2'
'x,-y+1/2,z+1/2'
loop_
_atom_site_label
_atom_site_type_symbol
_atom_site_fract_x
_atom_site_fract_y
_atom_site_fract_z
Ca1 Ca 0.063 0.052 0.132
Ag1 Ag 0.009 0.087 0.636
Bi1 Bi 0.026 0.717 0.156
O1 O 0.157 0.211 0.702
O2 O 0.186 0.647 0.004
O3 O 0.211 0.035 0.771
O4 O 0.213 0.562 0.524
O5 O 0.224 0.642 0.279
# M_tot	0.4	μB per formula unit
# E above lowest polymorph	158	meV/atom
# energy relative to the elements	-1.35	eV/atom
# ρ	5.85	Mg/m³

=====

[10]
# Cs2AgBiCl6, optimized geometry, DFT GGA-PBE
data_Cs2AgBiCl6
_cell_length_a 10.958
_cell_length_b 10.958
_cell_length_c 10.958
_cell_angle_alpha 90.00
_cell_angle_beta 90.00
_cell_angle_gamma 90.00
_space_group_name_H-M_alt 'F m -3 m'
_space_group_IT_number 225
_space_group_name_Hall '-F 4 2 3'
loop_
_atom_site_label
_atom_site_type_symbol
_atom_site_fract_x
_atom_site_fract_y
_atom_site_fract_z
Cs1 Cs 0.250 0.250 0.250
Ag1 Ag 0.000 0.000 0.000
Bi1 Bi 0.000 0.000 0.500
Cl1 Cl 0.000 0.000 0.251
# energy relative to the elements	-1.71	eV/atom
# ρ	4.01	Mg/m³

=====

[11]
# K2AgBiCl6, optimized geometry, DFT GGA-PBE
data_K2AgBiCl6
_cell_length_a 10.832
_cell_length_b 10.832
_cell_length_c 10.832
_cell_angle_alpha 90.00
_cell_angle_beta 90.00
_cell_angle_gamma 90.00
_space_group_name_H-M_alt 'F m -3 m'
_space_group_IT_number 225
_space_group_name_Hall '-F 4 2 3'
loop_
_atom_site_label
_atom_site_type_symbol
_atom_site_fract_x
_atom_site_fract_y
_atom_site_fract_z
K1 K 0.250 0.250 0.250
Ag1 Ag 0.000 0.000 0.000
Bi1 Bi 0.000 0.000 0.500
Cl1 Cl 0.000 0.000 0.250
# M_tot	0.0	μB per formula unit
# energy relative to the elements	-1.63	eV/atom
# ρ	3.18	Mg/m³

=====

[12]
# Ag2Bi2S3Cl2, optimized geometry, DFT GGA-PBE
data_Ag2Bi2S3Cl2
_cell_length_a 7.317
_cell_length_b 11.181
_cell_length_c 11.421
_cell_angle_alpha 75.08
_cell_angle_beta 89.66
_cell_angle_gamma 88.12
_space_group_name_H-M_alt 'P -1'
_space_group_IT_number 2
loop_
_space_group_symop_operation_xyz
'x,y,z'
'-x,-y,-z'
loop_
_atom_site_label
_atom_site_type_symbol
_atom_site_fract_x
_atom_site_fract_y
_atom_site_fract_z
Ag1 Ag 0.014 0.290 0.300
Ag2 Ag 0.244 0.494 0.148
Ag3 Ag 0.245 0.505 0.648
Ag4 Ag 0.483 0.691 0.204
Bi1 Bi 0.073 0.800 0.340
Bi2 Bi 0.112 0.205 0.984
Bi3 Bi 0.390 0.798 0.842
Bi4 Bi 0.427 0.201 0.487
S1 S 0.006 0.369 0.779
S2 S 0.096 0.655 0.911
S3 S 0.119 0.341 0.486
S4 S 0.375 0.657 0.415
S5 S 0.403 0.347 0.987
S6 S 0.493 0.633 0.718
Cl1 Cl 0.222 0.907 0.567
Cl2 Cl 0.237 0.898 0.060
Cl3 Cl 0.265 0.096 0.261
Cl4 Cl 0.287 0.105 0.763
# M_tot	0.0	μB per formula unit
# energy relative to the elements	-0.75	eV/atom
# ρ	5.89	Mg/m³